#P
DFT (GGA+U) results for an optimized crystal structure of Li3VF5.

Properties
**Magnetic moment**: 3.00 μB/f.u.
**Volume**: 102.4 Å³/f.u.

```
data_Li3VF5
_chemical_formula_sum 'Li24 V8 F40'
_space_group_name_H-M_alt 'P b c a'
_space_group_IT_number 61
_cell_length_a 5.662
_cell_length_b 12.016
_cell_length_c 12.043
_cell_angle_alpha 90.00
_cell_angle_beta 90.00
_cell_angle_gamma 90.00
loop_
_space_group_symop_operation_xyz
'x,y,z'
'-x,-y,-z'
'-x+1/2,-y,z+1/2'
'x+1/2,y,-z+1/2'
'x+1/2,-y+1/2,-z'
'-x+1/2,y+1/2,z'
'-x,y+1/2,-z+1/2'
'x,-y+1/2,z+1/2'
loop_
_atom_site_label
_atom_site_type_symbol
_atom_site_fract_x
_atom_site_fract_y
_atom_site_fract_z
_atom_site_occupancy
Li1 Li 0.043 0.199 0.170 1
Li2 Li 0.163 0.083 0.420 1
Li3 Li 0.231 0.537 0.684 1
V1 V 0.219 0.166 0.928 1
F1 F 0.041 0.142 0.647 1
F2 F 0.109 0.687 0.493 1
F3 F 0.117 0.018 0.839 1
F4 F 0.182 0.572 0.070 1
F5 F 0.185 0.201 0.308 1
```

#Q
DFT (GGA+U) results for an optimized crystal structure of Li3VF5.

Properties
**Magnetic moment**: 3.00 μB/f.u.
**Volume**: 107.1 Å³/f.u.

```
data_Li3VF5
_chemical_formula_sum 'Li12 V4 F20'
_space_group_name_H-M_alt 'P n m a'
_space_group_IT_number 62
_cell_length_a 8.058
_cell_length_b 10.433
_cell_length_c 5.095
_cell_angle_alpha 90.00
_cell_angle_beta 90.00
_cell_angle_gamma 90.00
loop_
_space_group_symop_operation_xyz
'x,y,z'
'-x,-y,-z'
'-x+1/2,-y,z+1/2'
'x+1/2,y,-z+1/2'
'x+1/2,-y+1/2,-z+1/2'
'-x+1/2,y+1/2,z+1/2'
'-x,y+1/2,-z'
'x,-y+1/2,z'
loop_
_atom_site_label
_atom_site_type_symbol
_atom_site_fract_x
_atom_site_fract_y
_atom_site_fract_z
_atom_site_occupancy
Li1 Li 0.109 0.250 0.184 1
Li2 Li 0.137 0.007 0.828 1
V1 V 0.125 0.750 0.283 1
F1 F 0.030 0.622 0.016 1
F2 F 0.130 0.250 0.565 1
F3 F 0.204 0.600 0.537 1
```

#R
DFT (GGA+U) results for an optimized crystal structure of Li3VF5.

Properties
**Magnetic moment**: 3.00 μB/f.u.
**Volume**: 107.5 Å³/f.u.

```
data_Li3VF5
_chemical_formula_sum 'Li12 V4 F20'
_space_group_name_H-M_alt 'P n m a'
_space_group_IT_number 62
_cell_length_a 8.351
_cell_length_b 7.567
_cell_length_c 6.807
_cell_angle_alpha 90.00
_cell_angle_beta 90.00
_cell_angle_gamma 90.00
loop_
_space_group_symop_operation_xyz
'x,y,z'
'-x,-y,-z'
'-x+1/2,-y,z+1/2'
'x+1/2,y,-z+1/2'
'x+1/2,-y+1/2,-z+1/2'
'-x+1/2,y+1/2,z+1/2'
'-x,y+1/2,-z'
'x,-y+1/2,z'
loop_
_atom_site_label
_atom_site_type_symbol
_atom_site_fract_x
_atom_site_fract_y
_atom_site_fract_z
_atom_site_occupancy
Li1 Li 0.123 0.250 0.145 1
Li2 Li 0.124 0.554 0.737 1
V1 V 0.125 0.750 0.249 1
F1 F 0.091 0.750 0.939 1
F2 F 0.124 0.027 0.262 1
F3 F 0.125 0.250 0.721 1
F4 F 0.163 0.750 0.557 1
```

#S
DFT (GGA+U) results for an optimized crystal structure of Li3VF5.

Properties
**Magnetic moment**: 3.00 μB/f.u.
**Volume**: 106.1 Å³/f.u.

```
data_Li3VF5
_chemical_formula_sum 'Li12 V4 F20'
_space_group_name_H-M_alt 'P n m a'
_space_group_IT_number 62
_cell_length_a 6.634
_cell_length_b 7.889
_cell_length_c 8.107
_cell_angle_alpha 90.00
_cell_angle_beta 90.00
_cell_angle_gamma 90.00
loop_
_space_group_symop_operation_xyz
'x,y,z'
'-x,-y,-z'
'-x+1/2,-y,z+1/2'
'x+1/2,y,-z+1/2'
'x+1/2,-y+1/2,-z+1/2'
'-x+1/2,y+1/2,z+1/2'
'-x,y+1/2,-z'
'x,-y+1/2,z'
loop_
_atom_site_label
_atom_site_type_symbol
_atom_site_fract_x
_atom_site_fract_y
_atom_site_fract_z
_atom_site_occupancy
Li1 Li 0.016 0.074 0.228 1
Li2 Li 0.208 0.750 0.528 1
V1 V 0.229 0.250 0.602 1
F1 F 0.006 0.750 0.956 1
F2 F 0.074 0.250 0.378 1
F3 F 0.080 0.750 0.312 1
F4 F 0.223 0.517 0.641 1
```

Computed energies relative to the best structure, in meV per atom: #P 41; #Q 22; #R 16; #S 0

#P
DFT (GGA+U) results for an optimized crystal structure of Li3VF5.

Properties
**Magnetic moment**: 3.00 μB/f.u.
**Volume**: 106.0 Å³/f.u.

```
data_Li3VF5
_chemical_formula_sum 'Li12 V4 F20'
_space_group_name_H-M_alt 'P 1 21/c 1'
_space_group_IT_number 14
_cell_length_a 7.739
_cell_length_b 6.958
_cell_length_c 7.874
_cell_angle_alpha 90.00
_cell_angle_beta 91.85
_cell_angle_gamma 90.00
loop_
_space_group_symop_operation_xyz
'x,y,z'
'-x,-y,-z'
'-x,y+1/2,-z+1/2'
'x,-y+1/2,z+1/2'
loop_
_atom_site_label
_atom_site_type_symbol
_atom_site_fract_x
_atom_site_fract_y
_atom_site_fract_z
_atom_site_occupancy
Li1 Li 0.003 0.052 0.218 1
Li2 Li 0.266 0.222 0.968 1
Li3 Li 0.465 0.015 0.313 1
V1 V 0.252 0.736 0.594 1
F1 F 0.023 0.225 0.884 1
F2 F 0.229 0.640 0.340 1
F3 F 0.238 0.055 0.163 1
F4 F 0.321 0.015 0.523 1
F5 F 0.483 0.200 0.846 1
```

#Q
DFT (GGA+U) results for an optimized crystal structure of Li3VF5.

Properties
**Magnetic moment**: 3.00 μB/f.u.
**Volume**: 96.1 Å³/f.u.

```
data_Li3VF5
_chemical_formula_sum 'Li9 V3 F15'
_space_group_name_H-M_alt 'P 31 2 1'
_space_group_IT_number 152
_cell_length_a 4.9573
_cell_length_b 4.9573
_cell_length_c 13.5481
_cell_angle_alpha 90.00
_cell_angle_beta 90.00
_cell_angle_gamma 120.00
loop_
_space_group_symop_operation_xyz
'x,y,z'
'-y,x-y,z+1/3'
'-x+y,-x,z+2/3'
'y,x,-z'
'x-y,-y,-z+2/3'
'-x,-x+y,-z+1/3'
loop_
_atom_site_label
_atom_site_type_symbol
_atom_site_fract_x
_atom_site_fract_y
_atom_site_fract_z
_atom_site_occupancy
Li1 Li 0.0000 0.7090 0.1667 1
Li2 Li 0.0222 0.6511 0.9207 1
V1 V 0.0000 0.6791 0.6667 1
F1 F 0.0000 0.2264 0.6667 1
F2 F 0.0337 0.4614 0.0626 1
F3 F 0.1443 0.3636 0.8642 1
```

Computed energies relative to the best structure, in meV per atom: #P 0; #Q 33

#P
DFT (GGA+U) results for an optimized crystal structure of Li3VF6.

Properties
**Magnetic moment**: 1.98 μB/f.u.
**Volume**: 111.6 Å³/f.u.

```
data_Li3VF6
_chemical_formula_sum 'Li18 V6 F36'
_space_group_name_H-M_alt 'R -3'
_space_group_IT_number 148
_space_group_name_Hall '-R 3'
_cell_length_a 8.6840
_cell_length_b 8.6840
_cell_length_c 10.2526
_cell_angle_alpha 90.00
_cell_angle_beta 90.00
_cell_angle_gamma 120.00
loop_
_atom_site_label
_atom_site_type_symbol
_atom_site_fract_x
_atom_site_fract_y
_atom_site_fract_z
_atom_site_occupancy
Li1 Li 0.0374 0.2646 0.2121 1
V1 V 0.0000 0.0000 0.0000 1
V2 V 0.0000 0.0000 0.5000 1
F1 F 0.0189 0.1861 0.8799 1
F2 F 0.0238 0.2020 0.3961 1
```

#Q
DFT (GGA+U) results for an optimized crystal structure of Li3VF6.

Properties
**Magnetic moment**: 2.00 μB/f.u.
**Volume**: 111.4 Å³/f.u.

```
data_Li3VF6
_chemical_formula_sum 'Li6 V2 F12'
_space_group_name_H-M_alt 'P 1 21 1'
_space_group_IT_number 4
_cell_length_a 5.168
_cell_length_b 8.669
_cell_length_c 5.324
_cell_angle_alpha 90.00
_cell_angle_beta 110.87
_cell_angle_gamma 90.00
loop_
_space_group_symop_operation_xyz
'x,y,z'
'-x,y+1/2,-z'
loop_
_atom_site_label
_atom_site_type_symbol
_atom_site_fract_x
_atom_site_fract_y
_atom_site_fract_z
_atom_site_occupancy
Li1 Li 0.081 0.000 0.011 1
Li2 Li 0.298 0.997 0.547 1
Li3 Li 0.403 0.675 0.894 1
V1 V 0.248 0.336 0.518 1
F1 F 0.144 0.499 0.721 1
F2 F 0.153 0.839 0.724 1
F3 F 0.249 0.166 0.773 1
F4 F 0.295 0.486 0.263 1
F5 F 0.324 0.171 0.296 1
F6 F 0.358 0.863 0.268 1
```

Computed energies relative to the best structure, in meV per atom: #P 7; #Q 0

#P
DFT (GGA+U) results for an optimized crystal structure of Li3VF6.

Properties
**Magnetic moment**: 2.00 μB/f.u.
**Volume**: 117.4 Å³/f.u.

```
data_Li3VF6
_chemical_formula_sum 'Li12 V4 F24'
_space_group_name_H-M_alt 'F m -3 m'
_space_group_IT_number 225
_space_group_name_Hall '-F 4 2 3'
_cell_length_a 7.772
_cell_length_b 7.772
_cell_length_c 7.772
_cell_angle_alpha 90.00
_cell_angle_beta 90.00
_cell_angle_gamma 90.00
loop_
_atom_site_label
_atom_site_type_symbol
_atom_site_fract_x
_atom_site_fract_y
_atom_site_fract_z
_atom_site_occupancy
Li1 Li 0.000 0.000 0.000 1
Li2 Li 0.250 0.250 0.250 1
V1 V 0.000 0.000 0.500 1
F1 F 0.000 0.000 0.252 1
```

#Q
DFT (GGA+U) results for an optimized crystal structure of Li3VF6.

Properties
**Volume**: 107.4 Å³/f.u.

```
data_Li3VF6
_chemical_formula_sum 'Li12 V4 F24'
_space_group_name_H-M_alt 'P n a 21'
_space_group_IT_number 33
_cell_length_a 9.790
_cell_length_b 8.567
_cell_length_c 5.124
_cell_angle_alpha 90.00
_cell_angle_beta 90.00
_cell_angle_gamma 90.00
loop_
_space_group_symop_operation_xyz
'x,y,z'
'-x,-y,z+1/2'
'-x+1/2,y+1/2,z+1/2'
'x+1/2,-y+1/2,z'
loop_
_atom_site_label
_atom_site_type_symbol
_atom_site_fract_x
_atom_site_fract_y
_atom_site_fract_z
_atom_site_occupancy
Li1 Li 0.104 0.049 0.000 1
Li2 Li 0.126 0.647 0.512 1
Li3 Li 0.146 0.452 0.007 1
V1 V 0.128 0.260 0.504 1
F1 F 0.009 0.415 0.324 1
F2 F 0.021 0.253 0.834 1
F3 F 0.024 0.091 0.347 1
F4 F 0.227 0.441 0.651 1
F5 F 0.240 0.270 0.182 1
F6 F 0.249 0.112 0.689 1
```

#R
DFT (GGA+U) results for an optimized crystal structure of Li3VF6.

Properties
**Magnetic moment**: 2.00 μB/f.u.
**Volume**: 106.9 Å³/f.u.

```
data_Li3VF6
_chemical_formula_sum 'Li3 V1 F6'
_space_group_name_H-M_alt 'P -3 1 m'
_space_group_IT_number 162
_space_group_name_Hall '-P 3 2'
_cell_length_a 4.9877
_cell_length_b 4.9877
_cell_length_c 4.9619
_cell_angle_alpha 90.00
_cell_angle_beta 90.00
_cell_angle_gamma 120.00
loop_
_atom_site_label
_atom_site_type_symbol
_atom_site_fract_x
_atom_site_fract_y
_atom_site_fract_z
_atom_site_occupancy
Li1 Li 0.0000 0.0000 0.0000 1
Li2 Li 0.3333 0.6667 0.0000 1
V1 V 0.0000 0.0000 0.5000 1
F1 F 0.0000 0.3086 0.7616 1
```

Computed energies relative to the best structure, in meV per atom: #P 287; #Q 0; #R 79